BaLiRu5O11: relaxed, GGA-PBE.

a b c (Å): 5.899 5.899 14.016
angles (deg): 90.00 90.00 120.00
Positions (direct):
Ba  0.333  0.667  0.250
Ba  0.667  0.333  0.750
Li  0.333  0.667  0.750
Li  0.667  0.333  0.250
Ru  0.000  0.000  0.158
Ru  0.000  0.000  0.342
Ru  0.000  0.000  0.658
Ru  0.000  0.000  0.842
Ru  0.000  0.500  0.000
Ru  0.000  0.500  0.500
Ru  0.500  0.000  0.000
Ru  0.500  0.000  0.500
Ru  0.500  0.500  0.000
Ru  0.500  0.500  0.500
O  0.150  0.299  0.750
O  0.150  0.850  0.750
O  0.168  0.336  0.080
O  0.168  0.336  0.420
O  0.168  0.832  0.080
O  0.168  0.832  0.420
O  0.299  0.150  0.250
O  0.333  0.667  0.582
O  0.333  0.667  0.918
O  0.336  0.168  0.580
O  0.336  0.168  0.920
O  0.664  0.832  0.080
O  0.664  0.832  0.420
O  0.667  0.333  0.082
O  0.667  0.333  0.418
O  0.701  0.850  0.750
O  0.832  0.168  0.580
O  0.832  0.168  0.920
O  0.832  0.664  0.580
O  0.832  0.664  0.920
O  0.850  0.150  0.250
O  0.850  0.701  0.250

SG: P6_3/mmc, No. 194
energy of formation from the pure elements: -1681 meV/atom
calculated total energy: -7.074 eV/atom